Here is Ho2TeS2 after structural relaxation from the Materials Project database. Energies are from r²SCAN.

Output
Spin magnetization = 0.0 μB per cell
VASP energy = -23.599 eV per atom

Geometry as POSCAR:
```
Ho2TeS2
1.0
-2.079 2.663 6.674
2.079 -2.663 6.674
2.079 2.663 -6.674
Ho Te S
2 1 2
Direct
0.167 0.167 0.000
0.833 0.833 0.000
0.000 0.500 0.500
0.298 0.798 0.500
0.702 0.202 0.500
```

=====

Here is RbSc3F10 after structural relaxation from the Materials Project database. Energies are from r²SCAN.

Output
Spin magnetization = 0.0 μB per cell
VASP energy = -9.754 eV per atom

Geometry as POSCAR:
```
RbSc3F10
1.0
7.904 0.000 0.000
0.000 7.610 0.000
0.000 0.000 6.581
Rb Sc F
2 6 20
Direct
0.250 0.000 0.016
0.750 0.000 0.984
0.000 0.230 0.500
0.000 0.500 0.000
0.000 0.770 0.500
0.500 0.230 0.500
0.500 0.500 0.000
0.500 0.770 0.500
0.000 0.500 0.500
0.024 0.000 0.678
0.051 0.304 0.803
0.051 0.696 0.803
0.250 0.218 0.431
0.250 0.500 0.082
0.250 0.782 0.431
0.449 0.304 0.803
0.449 0.696 0.803
0.476 0.000 0.678
0.500 0.500 0.500
0.524 0.000 0.322
0.551 0.304 0.197
0.551 0.696 0.197
0.750 0.218 0.569
0.750 0.500 0.918
0.750 0.782 0.569
0.949 0.304 0.197
0.949 0.696 0.197
0.976 0.000 0.322
```